1.
Density functional theory data (meta-GGA r2SCAN) for an optimized crystal structure of CaGeO3.

Lattice parameters (Å, degrees): 7.315 7.557 8.147 103.48 94.73 90.11
Fractional positions:
O: 0.579 0.503 0.772
O: 0.683 0.272 0.096
O: 0.711 0.773 0.081
O: 0.421 0.497 0.228
O: 0.026 0.073 0.192
O: 0.289 0.227 0.919
O: 0.972 0.476 0.812
O: 0.419 0.129 0.238
O: 0.974 0.927 0.808
O: 0.260 0.820 0.271
O: 0.774 0.863 0.462
O: 0.581 0.871 0.762
O: 0.317 0.728 0.904
O: 0.028 0.524 0.188
O: 0.740 0.180 0.729
O: 0.226 0.137 0.538
O: 0.230 0.628 0.533
O: 0.770 0.372 0.467
Ge: 0.222 0.056 0.322
Ge: 0.553 0.726 0.905
Ge: 0.778 0.944 0.678
Ge: 0.225 0.607 0.319
Ge: 0.775 0.393 0.681
Ge: 0.447 0.274 0.095
Ca: 0.259 0.427 0.708
Ca: 0.031 0.753 0.013
Ca: 0.969 0.247 0.987
Ca: 0.741 0.573 0.292
Ca: 0.262 0.927 0.709
Ca: 0.738 0.073 0.291

For the theoretical density, the calculation gives 3.7 g cm⁻³. The total magnetic moment comes out at 0.0 μB per formula unit. The value obtained for the formation energy is -2.53 eV/atom.

***

2.
Density functional theory data (meta-GGA r2SCAN) for an optimized crystal structure of Ti7Br16.

Lattice parameters (Å, degrees): 7.203 10.702 15.446 90.00 90.00 90.00
Fractional positions:
Br: 0.752 0.501 0.632
Br: 0.249 0.515 0.874
Br: 0.251 0.015 0.626
Br: 0.249 0.485 0.126
Br: 0.500 0.745 0.480
Br: 0.752 0.499 0.368
Br: 0.500 0.255 0.520
Br: 0.252 0.999 0.132
Br: 0.000 0.259 0.506
Br: 0.248 0.501 0.632
Br: 0.500 0.768 0.725
Br: 0.000 0.755 0.980
Br: 0.749 0.985 0.374
Br: 0.500 0.728 0.251
Br: 0.000 0.741 0.494
Br: 0.000 0.245 0.020
Br: 0.751 0.515 0.874
Br: 0.500 0.232 0.275
Br: 0.251 0.985 0.374
Br: 0.500 0.272 0.749
Br: 0.252 0.001 0.868
Br: 0.000 0.228 0.249
Br: 0.000 0.732 0.225
Br: 0.000 0.268 0.775
Br: 0.500 0.759 0.994
Br: 0.248 0.499 0.368
Br: 0.751 0.485 0.126
Br: 0.500 0.241 0.006
Br: 0.749 0.015 0.626
Br: 0.000 0.772 0.751
Br: 0.748 0.001 0.868
Br: 0.748 0.999 0.132
Ti: 0.500 0.500 0.500
Ti: 0.305 0.746 0.861
Ti: 0.305 0.254 0.139
Ti: 0.195 0.246 0.639
Ti: 0.805 0.754 0.361
Ti: 0.500 0.535 0.761
Ti: 0.000 0.035 0.739
Ti: 0.500 0.465 0.239
Ti: 0.195 0.754 0.361
Ti: 0.000 0.000 0.000
Ti: 0.695 0.254 0.139
Ti: 0.695 0.746 0.861
Ti: 0.000 0.965 0.261
Ti: 0.805 0.246 0.639

For the theoretical density, the calculation gives 4.5 g cm⁻³. The total magnetic moment comes out at 4.0 μB per formula unit. The value obtained for the formation energy is -1.38 eV/atom.

***

3.
Density functional theory data (meta-GGA r2SCAN) for an optimized crystal structure of Kr.

Lattice parameters (Å, degrees): 4.177 4.177 4.177 109.47 109.47 109.47
Fractional positions:
Kr: 0.000 0.000 0.000

For the theoretical density, the calculation gives 2.5 g cm⁻³. The total magnetic moment comes out at 0.0 μB per formula unit. As for the energy above the lowest structure with this stoichiometry: 13.9 meV per atom. The value obtained for the formation energy is 0.01 eV/atom.